(1)
A plane-wave DFT calculation with PBE-GGA was carried out for Mg7Cu17O24 after structural relaxation.

Computed properties:
- Final energy: -5.309 eV per atom
- Space group: Pmm2 (25)
- ΔH_f (0 K): -1493 meV per atom

Unit cell a=8.0885 b=9.4275 c=6.4725 alpha=90.01 beta=90.01 gamma=90.00
With the nearest neighbours (Å) after each atom.
Element x y z (fractional)
O1 0.6249 0.0963 0.9398  3 Cu 1.95-2.03, 1 Mg 2.15
O2 0.1240 0.4037 0.4401  3 Cu 1.95-2.04, 1 Mg 2.15
O3 0.6261 0.0963 0.4400  3 Cu 1.95-2.04, 1 Mg 2.15
O4 0.6306 0.7501 0.7575  3 Cu 1.91-2.02, 1 Mg 2.10
O5 0.1251 0.0963 0.9398  3 Cu 1.95-2.03, 1 Mg 2.15
O6 0.8750 0.2500 0.7388  2 Cu 1.92, 2 Mg 2.05
O7 0.1239 0.0963 0.4401  3 Cu 1.95-2.04, 1 Mg 2.15
O8 0.8750 0.5914 0.5558  3 Cu 1.93-2.02, 1 Mg 2.15
O9 0.1194 0.7500 0.7576  3 Cu 1.92-2.02, 1 Mg 2.10
O10 0.3750 0.5978 0.5629  3 Cu 1.97-2.04, 2 Mg 2.15-2.17
O11 0.3750 0.2500 0.2386  2 Cu 1.93, 2 Mg 2.05
O12 0.3750 0.2500 0.7392  2 Cu 1.93, 2 Mg 2.06
O13 0.3752 0.9023 0.5629  3 Cu 1.97-2.04, 2 Mg 2.15-2.17
O14 0.3755 0.5977 0.0584  3 Cu 1.96-2.04, 1 Mg 2.13
O15 0.8744 0.5905 0.0714  3 Cu 1.95-2.03
O16 0.8750 0.2500 0.2335  2 Cu 1.91, 2 Mg 2.05
O17 0.8749 0.9095 0.0714  3 Cu 1.95-2.02
O18 0.3751 0.9023 0.0584  3 Cu 1.96-2.04, 1 Mg 2.13
O19 0.6260 0.4036 0.4400  3 Cu 1.95-2.04, 1 Mg 2.15
O20 0.1249 0.7501 0.2605  2 Cu 1.92, 2 Mg 2.05
O21 0.1250 0.4037 0.9398  3 Cu 1.95-2.03, 1 Mg 2.15
O22 0.8748 0.9086 0.5558  3 Cu 1.93-2.02, 1 Mg 2.15
O23 0.6251 0.7499 0.2601  2 Cu 1.92, 2 Mg 2.05-2.06
O24 0.6250 0.4039 0.9399  3 Cu 1.95-2.03, 1 Mg 2.15
Cu1 0.6252 0.9148 0.0857  4 O 1.92-2.03
Cu2 0.1246 0.9148 0.0857  4 O 1.92-2.04
Cu3 0.1237 0.5851 0.5847  4 O 1.92-2.04
Cu4 0.3751 0.0854 0.9156  4 O 1.93-2.03
Cu5 0.1246 0.5851 0.0857  4 O 1.92-2.04
Cu6 0.3750 0.0851 0.4160  4 O 1.93-2.04
Cu7 0.3750 0.4146 0.9156  4 O 1.93-2.03
Cu8 0.6262 0.9148 0.5846  4 O 1.91-2.04
Cu9 0.3751 0.4148 0.4160  4 O 1.93-2.04
Cu10 0.8749 0.7500 0.8223  4 O 2.02-2.20
Cu11 0.8750 0.0857 0.4073  4 O 1.91-2.03
Cu12 0.6263 0.5852 0.5847  4 O 1.92-2.04
Cu13 0.1238 0.9149 0.5847  4 O 1.92-2.04
Cu14 0.8750 0.4143 0.4073  4 O 1.91-2.03
Cu15 0.6252 0.5852 0.0856  4 O 1.92-2.03
Cu16 0.8751 0.4137 0.9152  4 O 1.92-2.03
Cu17 0.8751 0.0862 0.9151  4 O 1.92-2.03
Mg1 0.6242 0.2500 0.1849  6 O 2.05-2.20
Mg2 0.8751 0.7500 0.3174  6 O 2.05-2.19
Mg3 0.6254 0.2500 0.6847  6 O 2.05-2.20
Mg4 0.3750 0.7500 0.8144  6 O 2.10-2.17
Mg5 0.3749 0.7500 0.3151  6 O 2.05-2.20
Mg6 0.1258 0.2500 0.1848  6 O 2.05-2.20
Mg7 0.1246 0.2500 0.6847  6 O 2.05-2.20

---

(2)
A plane-wave DFT calculation with PBE-GGA was carried out for NaHfScP2SO12 after structural relaxation.

Computed properties:
- Final energy: -7.642 eV per atom
- ΔH_f (0 K): -2992 meV per atom

Unit cell a=8.8590 b=8.8534 c=23.1845 alpha=90.11 beta=90.00 gamma=120.02
With the nearest neighbours (Å) after each atom.
Element x y z (fractional)
O1 0.1742 0.2009 0.4105  1 S 1.50
O2 0.3044 0.8419 0.9705  1 P 1.57
O3 0.8357 0.3092 0.2427  1 P 1.57
O4 0.3593 0.5005 0.0759  1 P 1.56
O5 0.0259 0.8339 0.4092  1 P 1.56
O6 0.5076 0.8676 0.0771  1 S 1.50
O7 0.1520 0.4568 0.9685  1 S 1.49
O8 0.3140 0.8402 0.2560  1 P 1.54
O9 0.1402 0.6425 0.0760  1 P 1.57
O10 0.9807 0.1735 0.5894  1 P 1.54
O11 0.2041 0.1752 0.8039  1 P 1.57
O12 0.8186 0.7901 0.3019  1 S 1.49
O13 0.8456 0.5365 0.0291  1 P 1.53
O14 0.4910 0.3617 0.1375  1 P 1.56
O15 0.8243 0.0284 0.8042  1 P 1.56
O16 0.9715 0.7901 0.8019  1 S 1.49
O17 0.5375 0.8419 0.4705  1 P 1.57
O18 0.6412 0.1386 0.4237  1 P 1.53
O19 0.2003 0.0213 0.5904  1 S 1.47
O20 0.8708 0.3617 0.6375  1 P 1.56
O21 0.5262 0.8402 0.7560  1 P 1.54
O22 0.3575 0.8698 0.8624  1 P 1.53
O23 0.6378 0.5085 0.6372  1 P 1.57
O24 0.8080 0.8339 0.9092  1 P 1.56
O25 0.1786 0.9706 0.1963  1 P 1.53
O26 0.6933 0.5342 0.2438  1 S 1.50
O27 0.1543 0.6879 0.7570  1 S 1.47
O28 0.4746 0.1672 0.2426  1 P 1.56
O29 0.0272 0.8156 0.6981  1 S 1.46
O30 0.1928 0.1735 0.0894  1 P 1.54
O31 0.5024 0.6425 0.5760  1 P 1.57
O32 0.6939 0.1489 0.0314  1 S 1.46
O33 0.4551 0.1489 0.5314  1 S 1.46
O34 0.8452 0.3039 0.5296  1 P 1.53
O35 0.8669 0.3546 0.9237  1 S 1.47
O36 0.8409 0.5342 0.7438  1 S 1.50
O37 0.8595 0.5069 0.4227  1 P 1.54
O38 0.1217 0.4823 0.8647  1 S 1.46
O39 0.5119 0.6373 0.8630  1 P 1.53
O40 0.8708 0.5085 0.1372  1 P 1.57
O41 0.9745 0.8052 0.0903  1 P 1.53
O42 0.7920 0.9706 0.6963  1 P 1.53
O43 0.9711 0.1752 0.3039  1 P 1.57
O44 0.1789 0.2031 0.6958  1 P 1.53
O45 0.8307 0.8052 0.5903  1 P 1.53
O46 0.6382 0.1235 0.1352  1 S 1.49
O47 0.1690 0.9759 0.9094  1 P 1.57
O48 0.4877 0.3546 0.4237  1 S 1.47
O49 0.8068 0.9759 0.4094  1 P 1.57
O50 0.4974 0.1386 0.9237  1 P 1.53
O51 0.6909 0.5365 0.5291  1 P 1.53
O52 0.6474 0.5069 0.9227  1 P 1.54
O53 0.1576 0.6951 0.4708  1 P 1.56
O54 0.1254 0.6373 0.3630  1 P 1.53
O55 0.1640 0.4719 0.2570  1 P 1.53
O56 0.4587 0.3039 0.0296  1 P 1.53
O57 0.7884 0.8156 0.1981  1 S 1.46
O58 0.5374 0.6951 0.9708  1 P 1.56
O59 0.6926 0.1672 0.7426  1 P 1.56
O60 0.3048 0.4568 0.4685  1 S 1.49
O61 0.4853 0.1235 0.6352  1 S 1.49
O62 0.5123 0.8698 0.3624  1 P 1.53
O63 0.5336 0.6879 0.2570  1 S 1.47
O64 0.3605 0.4823 0.3647  1 S 1.46
O65 0.2041 0.0284 0.3042  1 P 1.56
O66 0.1413 0.5005 0.5759  1 P 1.56
O67 0.0267 0.2009 0.9105  1 S 1.50
O68 0.3079 0.4719 0.7570  1 P 1.53
O69 0.4735 0.3092 0.7427  1 P 1.57
O70 0.3600 0.8676 0.5771  1 S 1.50
O71 0.8210 0.0213 0.0904  1 S 1.47
O72 0.0242 0.2031 0.1958  1 P 1.53
P1 0.6224 0.9579 0.4160  4 O 1.53-1.57
P2 0.3354 0.9579 0.9160  4 O 1.53-1.57
P3 0.0426 0.6676 0.4165  4 O 1.53-1.56
P4 0.9558 0.6245 0.0826  4 O 1.53-1.57
P5 0.9583 0.3342 0.5832  4 O 1.53-1.56
P6 0.6249 0.6676 0.9165  4 O 1.53-1.56
P7 0.2916 0.0009 0.2498  4 O 1.53-1.56
P8 0.3759 0.3342 0.0832  4 O 1.53-1.56
P9 0.7093 0.0009 0.7498  4 O 1.53-1.56
P10 0.2891 0.2912 0.7493  4 O 1.53-1.57
P11 0.6688 0.6245 0.5826  4 O 1.53-1.57
P12 0.0021 0.2912 0.2493  4 O 1.53-1.57
Sc1 0.3253 0.6729 0.3142  6 O 1.99-2.22
Sc2 0.0143 0.0062 0.1475  6 O 1.99-2.22
Sc3 0.9919 0.0062 0.6475  6 O 1.99-2.22
Sc4 0.6586 0.3395 0.9808  6 O 1.99-2.22
Sc5 0.6809 0.3395 0.4808  6 O 1.99-2.22
Sc6 0.3476 0.6729 0.8142  6 O 1.99-2.22
S1 0.0018 0.7107 0.7494  4 O 1.46-1.50
S2 0.3351 0.3774 0.4160  4 O 1.46-1.50
S3 0.3756 0.0440 0.5827  4 O 1.46-1.50
S4 0.7089 0.7107 0.2494  4 O 1.46-1.50
S5 0.6684 0.0440 0.0827  4 O 1.46-1.50
S6 0.0422 0.3774 0.9160  4 O 1.46-1.50
Na1 0.3247 0.6613 0.1687  6 O 2.58-2.74
Na2 0.6699 0.3280 0.3354  6 O 2.58-2.74
Na3 0.9914 0.9946 0.5020  6 O 2.58-2.74
Na4 0.3366 0.6613 0.6687  6 O 2.58-2.74
Na5 0.0033 0.9946 0.0020  6 O 2.58-2.74
Na6 0.6580 0.3280 0.8354  6 O 2.58-2.74
Hf1 0.0028 0.0026 0.8528  6 O 2.02-2.13
Hf2 0.6665 0.3360 0.6861  6 O 2.02-2.13
Hf3 0.3361 0.6693 0.5195  6 O 2.02-2.13
Hf4 0.9999 0.0026 0.3528  6 O 2.02-2.13
Hf5 0.3332 0.6693 0.0195  6 O 2.02-2.13
Hf6 0.6694 0.3360 0.1861  6 O 2.02-2.13

---

M_tot / μB per cell: 0.4, 0.0